Version P
{"formula": "KrF2", "functional": "PBE", "state": "optimized geometry", "cell": [[4.732, 0.000, 0.000], [0.000, 4.732, 0.000], [0.000, 0.000, 6.037]], "species": ["Kr", "Kr", "F", "F", "F", "F"], "fractional_positions": [[0.000, 0.000, 0.000], [0.500, 0.500, 0.500], [0.211, 0.789, 0.500], [0.289, 0.289, 0.000], [0.711, 0.711, 0.000], [0.789, 0.211, 0.500]]}

---

Version Q
{"formula": "KrF2", "functional": "PBE", "state": "optimized geometry", "cell": [[2.667, -1.877, -2.929], [-4.499, -0.462, -0.520], [-1.989, 2.206, -3.224]], "species": ["Kr", "F", "F"], "fractional_positions": [[0.000, 0.000, 0.000], [0.290, 0.581, 0.710], [0.710, 0.419, 0.290]]}

---

The structure with the most favorable energy is version P; the runner-up is 0.006 eV/atom above it.

---

Version P
{"formula": "LiTiNF6", "functional": "PBE", "state": "optimized geometry", "cell": [[-6.718, -0.536, 3.775], [2.744, -9.420, 3.545], [5.193, 5.274, 9.992]], "species": ["Li", "Li", "Li", "Li", "Li", "Li", "Li", "Li", "Ti", "Ti", "Ti", "Ti", "Ti", "Ti", "Ti", "Ti", "N", "N", "N", "N", "N", "N", "N", "N", "F", "F", "F", "F", "F", "F", "F", "F", "F", "F", "F", "F", "F", "F", "F", "F", "F", "F", "F", "F", "F", "F", "F", "F", "F", "F", "F", "F", "F", "F", "F", "F", "F", "F", "F", "F", "F", "F", "F", "F", "F", "F", "F", "F", "F", "F", "F", "F"], "fractional_positions": [[0.253, 0.075, 0.639], [0.247, 0.575, 0.861], [0.753, 0.925, 0.861], [0.747, 0.425, 0.639], [0.747, 0.925, 0.361], [0.753, 0.425, 0.139], [0.247, 0.075, 0.139], [0.253, 0.575, 0.361], [0.250, 0.926, 0.863], [0.250, 0.426, 0.637], [0.750, 0.074, 0.637], [0.750, 0.574, 0.863], [0.750, 0.074, 0.137], [0.750, 0.574, 0.363], [0.250, 0.926, 0.363], [0.250, 0.426, 0.137], [0.000, 0.750, 0.577], [0.500, 0.250, 0.923], [0.000, 0.250, 0.423], [0.500, 0.750, 0.077], [0.500, 0.750, 0.605], [0.000, 0.250, 0.895], [0.500, 0.250, 0.395], [0.000, 0.750, 0.105], [0.270, 0.098, 0.804], [0.230, 0.598, 0.696], [0.770, 0.902, 0.696], [0.730, 0.402, 0.804], [0.730, 0.902, 0.196], [0.770, 0.402, 0.304], [0.230, 0.098, 0.304], [0.270, 0.598, 0.196], [0.490, 0.904, 0.850], [0.010, 0.404, 0.650], [0.990, 0.096, 0.650], [0.510, 0.596, 0.850], [0.510, 0.096, 0.150], [0.990, 0.596, 0.350], [0.010, 0.904, 0.350], [0.490, 0.404, 0.150], [0.227, 0.756, 0.910], [0.273, 0.256, 0.590], [0.727, 0.244, 0.590], [0.773, 0.744, 0.910], [0.773, 0.244, 0.090], [0.727, 0.744, 0.410], [0.273, 0.756, 0.410], [0.227, 0.256, 0.090], [0.230, 0.882, 0.713], [0.270, 0.382, 0.787], [0.730, 0.118, 0.787], [0.770, 0.618, 0.713], [0.770, 0.118, 0.287], [0.730, 0.618, 0.213], [0.270, 0.882, 0.213], [0.230, 0.382, 0.287], [0.278, 0.993, 0.999], [0.222, 0.493, 0.501], [0.778, 0.007, 0.501], [0.722, 0.507, 0.999], [0.722, 0.007, 0.001], [0.778, 0.507, 0.499], [0.222, 0.993, 0.499], [0.278, 0.493, 0.001], [0.010, 0.948, 0.870], [0.490, 0.448, 0.630], [0.510, 0.052, 0.630], [0.990, 0.552, 0.870], [0.990, 0.052, 0.130], [0.510, 0.552, 0.370], [0.490, 0.948, 0.370], [0.010, 0.448, 0.130]]}

---

Version Q
{"formula": "LiTiNF6", "functional": "PBE", "state": "optimized geometry", "cell": [[8.679, 0.000, 0.000], [0.000, 9.548, 0.000], [0.000, 0.000, 13.816]], "species": ["Li", "Li", "Li", "Li", "Li", "Li", "Li", "Li", "Ti", "Ti", "Ti", "Ti", "Ti", "Ti", "Ti", "Ti", "N", "N", "N", "N", "N", "N", "N", "N", "F", "F", "F", "F", "F", "F", "F", "F", "F", "F", "F", "F", "F", "F", "F", "F", "F", "F", "F", "F", "F", "F", "F", "F", "F", "F", "F", "F", "F", "F", "F", "F", "F", "F", "F", "F", "F", "F", "F", "F", "F", "F", "F", "F", "F", "F", "F", "F"], "fractional_positions": [[0.000, 0.750, 0.949], [0.000, 0.250, 0.051], [0.500, 0.250, 0.551], [0.500, 0.750, 0.449], [0.000, 0.750, 0.324], [0.000, 0.250, 0.676], [0.500, 0.250, 0.176], [0.500, 0.750, 0.824], [0.216, 0.548, 0.139], [0.784, 0.452, 0.861], [0.284, 0.048, 0.361], [0.784, 0.952, 0.139], [0.716, 0.952, 0.639], [0.216, 0.048, 0.861], [0.716, 0.452, 0.361], [0.284, 0.548, 0.639], [0.256, 0.929, 0.119], [0.744, 0.071, 0.881], [0.244, 0.429, 0.381], [0.744, 0.571, 0.119], [0.756, 0.571, 0.619], [0.256, 0.429, 0.881], [0.756, 0.071, 0.381], [0.244, 0.929, 0.619], [0.158, 0.888, 0.356], [0.842, 0.112, 0.644], [0.342, 0.388, 0.144], [0.842, 0.612, 0.356], [0.658, 0.612, 0.856], [0.158, 0.388, 0.644], [0.658, 0.112, 0.144], [0.342, 0.888, 0.856], [0.058, 0.416, 0.115], [0.942, 0.584, 0.885], [0.442, 0.916, 0.385], [0.942, 0.084, 0.115], [0.558, 0.084, 0.615], [0.058, 0.916, 0.885], [0.558, 0.584, 0.385], [0.442, 0.416, 0.615], [0.124, 0.621, 0.246], [0.876, 0.379, 0.754], [0.376, 0.121, 0.254], [0.876, 0.879, 0.246], [0.624, 0.879, 0.746], [0.124, 0.121, 0.754], [0.624, 0.379, 0.254], [0.376, 0.621, 0.746], [0.359, 0.486, 0.941], [0.641, 0.514, 0.059], [0.141, 0.986, 0.559], [0.641, 0.014, 0.941], [0.859, 0.014, 0.441], [0.359, 0.986, 0.059], [0.859, 0.514, 0.559], [0.141, 0.486, 0.441], [0.144, 0.655, 0.038], [0.856, 0.345, 0.962], [0.356, 0.155, 0.462], [0.856, 0.845, 0.038], [0.644, 0.845, 0.538], [0.144, 0.155, 0.962], [0.644, 0.345, 0.462], [0.356, 0.655, 0.538], [0.390, 0.648, 0.147], [0.610, 0.352, 0.853], [0.110, 0.148, 0.353], [0.610, 0.852, 0.147], [0.890, 0.852, 0.647], [0.390, 0.148, 0.853], [0.890, 0.352, 0.353], [0.110, 0.648, 0.647]]}

---

The structure with the most favorable energy is version Q; the runner-up is 0.317 eV/atom above it.

---

Version P
{"formula": "SrLiNb2O6F", "functional": "PBE", "state": "optimized geometry", "cell": [[8.256, -0.081, -2.283], [3.953, 4.084, -2.283], [0.444, 0.459, 9.194]], "species": ["Sr", "Sr", "Li", "Li", "Nb", "Nb", "Nb", "Nb", "O", "O", "O", "O", "O", "O", "O", "O", "O", "O", "O", "O", "F", "F"], "fractional_positions": [[0.983, 0.090, 0.035], [0.517, 0.056, 0.035], [0.759, 0.234, 0.487], [0.741, 0.752, 0.487], [0.013, 0.651, 0.235], [0.540, 0.383, 0.766], [0.487, 0.677, 0.235], [0.960, 0.462, 0.766], [0.972, 0.493, 0.993], [0.245, 0.096, 0.198], [0.970, 0.736, 0.436], [0.255, 0.586, 0.198], [0.522, 0.252, 0.564], [0.528, 0.437, 0.993], [0.765, 0.073, 0.207], [0.530, 0.676, 0.436], [0.773, 0.354, 0.778], [0.735, 0.603, 0.207], [0.978, 0.296, 0.564], [0.727, 0.900, 0.778], [0.251, 0.346, 0.800], [0.249, 0.847, 0.800]]}

---

Version Q
{"formula": "SrLiNb2O6F", "functional": "PBE", "state": "optimized geometry", "cell": [[-1.937, 1.937, 10.447], [1.937, -1.937, 10.447], [1.937, 1.937, -10.447]], "species": ["Sr", "Li", "Nb", "Nb", "O", "O", "O", "O", "O", "O", "F"], "fractional_positions": [[0.000, 0.000, 0.000], [0.750, 0.250, 0.500], [0.618, 0.618, 0.000], [0.382, 0.382, 0.000], [0.704, 0.704, 0.000], [0.593, 0.093, 0.500], [0.907, 0.407, 0.500], [0.296, 0.296, 0.000], [0.092, 0.592, 0.500], [0.408, 0.908, 0.500], [0.500, 0.500, 0.000]], "piezo_max_c_m2": 0.056}

---

The structure with the most favorable energy is version Q; the runner-up is 0.186 eV/atom above it.

---

Version P
{"formula": "Li3RhF6", "functional": "PBE", "state": "optimized geometry", "cell": [[-2.384, -5.989, 0.467], [-3.396, 6.432, -0.145], [0.735, 0.143, -7.248]], "species": ["Li", "Li", "Li", "Rh", "F", "F", "F", "F", "F", "F"], "fractional_positions": [[0.000, 0.000, 0.500], [0.500, 0.500, 0.000], [0.000, 0.500, 0.000], [0.000, 0.000, 0.000], [0.114, 0.334, 0.003], [0.886, 0.666, 0.997], [0.917, 0.952, 0.720], [0.083, 0.048, 0.280], [0.598, 0.809, 0.009], [0.402, 0.191, 0.991]]}

---

Version Q
{"formula": "Li3RhF6", "functional": "PBE", "state": "optimized geometry", "cell": [[-4.751, 2.117, 0.925], [6.180, 2.306, 1.386], [2.404, 0.766, -5.182]], "species": ["Li", "Li", "Li", "Rh", "F", "F", "F", "F", "F", "F"], "fractional_positions": [[0.000, 0.000, 0.500], [0.500, 0.500, 0.000], [0.000, 0.500, 0.000], [0.000, 0.000, 0.000], [0.958, 0.274, 0.790], [0.042, 0.726, 0.210], [0.753, 0.743, 0.699], [0.247, 0.257, 0.301], [0.548, 0.791, 0.071], [0.452, 0.209, 0.929]]}

---

Version R
{"formula": "Li3RhF6", "functional": "PBE", "state": "optimized geometry", "cell": [[0.000, 3.939, 3.939], [3.939, 0.000, 3.939], [3.939, 3.939, 0.000]], "species": ["Li", "Li", "Li", "Rh", "F", "F", "F", "F", "F", "F"], "fractional_positions": [[0.750, 0.750, 0.750], [0.250, 0.250, 0.250], [0.500, 0.500, 0.500], [0.000, 0.000, 0.000], [0.748, 0.252, 0.252], [0.252, 0.252, 0.748], [0.252, 0.748, 0.748], [0.252, 0.748, 0.252], [0.748, 0.252, 0.748], [0.748, 0.748, 0.252]]}

---

The structure with the most favorable energy is version Q; the runner-up is 0.066 eV/atom above it.